(1)
Entry from the Materials Project database: a relaxed Y2GeRh3 crystal (meta-GGA r2SCAN).

Cell and atoms, written as POSCAR:
```
Y2GeRh3
1.0
4.661 -0.007 2.040
1.331 4.467 2.040
-0.009 -0.007 5.088
Y Rh Ge
2 3 1
direct
0.371 0.371 0.371
0.629 0.629 0.629
0.000 0.500 0.000
0.000 0.000 0.500
0.500 0.000 0.000
0.000 0.000 0.000
```

Values from the calculation:
- calculated formation energy (meV per atom) = -931
- M_tot (μB per cell) = 0.00

---

(2)
Entry from the Materials Project database: a relaxed Ta2NiSe5 crystal (meta-GGA r2SCAN).

Cell and atoms, written as POSCAR:
```
Ta2NiSe5
1.0
5.768 2.499 2.934
-6.303 0.970 -2.732
-6.446 -1.826 14.226
Se Ta Ni
10 4 2
direct
0.588 0.412 0.361
0.151 0.849 0.549
0.588 0.412 0.139
0.151 0.849 0.951
0.321 0.679 0.250
0.412 0.588 0.639
0.412 0.588 0.861
0.849 0.151 0.451
0.679 0.321 0.750
0.849 0.151 0.049
0.778 0.222 0.889
0.222 0.778 0.111
0.222 0.778 0.389
0.778 0.222 0.611
0.297 0.703 0.750
0.703 0.297 0.250
```

Values from the calculation:
- calculated formation energy (meV per atom) = -837
- M_tot (μB per cell) = 0.00

---

(3)
Entry from the Materials Project database: a relaxed TbCdNi4 crystal (meta-GGA r2SCAN).

Cell and atoms, written as POSCAR:
```
TbCdNi4
1.0
0.000 3.486 3.486
3.486 0.000 3.486
3.486 3.486 0.000
Cd Ni Tb
1 4 1
direct
0.000 0.000 0.000
0.626 0.122 0.626
0.122 0.626 0.626
0.626 0.626 0.626
0.626 0.626 0.122
0.250 0.250 0.250
```

Values from the calculation:
- calculated formation energy (meV per atom) = -325
- M_tot (μB per cell) = 0.73

---

(4)
Entry from the Materials Project database: a relaxed Zr5AgPb3 crystal (meta-GGA r2SCAN).

Cell and atoms, written as POSCAR:
```
Zr5AgPb3
1.0
4.418 -7.653 0.000
4.418 7.653 0.000
0.000 0.000 5.976
Pb Zr Ag
6 10 2
direct
0.622 0.000 0.750
0.000 0.622 0.750
0.378 0.378 0.750
0.000 0.378 0.250
0.378 0.000 0.250
0.622 0.622 0.250
0.721 0.000 0.250
0.333 0.667 0.500
0.333 0.667 0.000
0.000 0.279 0.750
0.721 0.721 0.750
0.279 0.000 0.750
0.000 0.721 0.250
0.667 0.333 0.000
0.279 0.279 0.250
0.667 0.333 0.500
0.000 0.000 0.000
0.000 0.000 0.500
```

Values from the calculation:
- calculated formation energy (meV per atom) = -345
- M_tot (μB per cell) = 0.01